Density functional theory data (GGA-PBE) for an optimized crystal structure of Nd4Ge7.

The electronic total energy is -5.402 eV/atom. Its formation energy is -0.73 eV/atom.

The structure belongs to space group C222_1 (No. 20); the cell edges are 6.048, 14.048 and 12.093 Å and the angles 90.00°, 90.00° and 90.00°. Symmetry generates all atoms from Nd at (0.000, 0.005, 0.250), Nd at (0.014, 0.500, 0.000), Nd at (0.237, 0.255, 0.620), Ge at (0.000, 0.439, 0.750), Ge at (0.018, 0.088, 0.990), Ge at (0.173, 0.353, 0.337) and Ge at (0.246, 0.327, 0.871).